The following is a DFT calculation (PBE-GGA) of Ti7P12C6N2O48 after structural relaxation.

Summary:
The density comes out at 2.48 g/cm3. The crystal system is trigonal. The calculation puts the formation energy at -15917 kJ/mol of formula units. Its space group is No. 148. Its total moment is 0.09 μB/atom. As for the uncorrected energy: -561.76 eV for the cell shown.

Lattice parameters (Å, degrees): 10.6964 10.6964 10.6964 105.67 105.67 105.67
Closest atoms and distances in Å follow each position.
Sites, in units of the cell vectors:
Ti  0.0000  0.0000  0.0000  6 O 1.98
Ti  0.1205  0.6610  0.2350  6 O 1.87-2.00
Ti  0.2350  0.1205  0.6610  6 O 1.87-2.00
Ti  0.3390  0.7650  0.8795  6 O 1.87-2.00
Ti  0.6610  0.2350  0.1205  6 O 1.87-2.00
Ti  0.7650  0.8795  0.3390  6 O 1.87-2.00
Ti  0.8795  0.3390  0.7650  6 O 1.87-2.00
P  0.0208  0.6762  0.9133  4 O 1.54-1.55
P  0.0867  0.9792  0.3238  4 O 1.54-1.55
P  0.1700  0.7611  0.5786  4 O 1.54-1.55
P  0.2389  0.4214  0.8300  4 O 1.54-1.55
P  0.3238  0.0867  0.9792  4 O 1.54-1.55
P  0.4214  0.8300  0.2389  4 O 1.54-1.55
P  0.5786  0.1700  0.7611  4 O 1.54-1.55
P  0.6762  0.9133  0.0208  4 O 1.54-1.55
P  0.7611  0.5786  0.1700  4 O 1.54-1.55
P  0.8300  0.2389  0.4214  4 O 1.54-1.55
P  0.9133  0.0208  0.6762  4 O 1.54-1.55
P  0.9792  0.3238  0.0867  4 O 1.54-1.55
C  0.3848  0.4900  0.5236  1 N 1.49, 2 C 1.50
C  0.4764  0.6152  0.5100  1 N 1.49, 2 C 1.50
C  0.4900  0.5236  0.3848  1 N 1.49, 2 C 1.50
C  0.5100  0.4764  0.6152  1 N 1.49, 2 C 1.50
C  0.5236  0.3848  0.4900  1 N 1.49, 2 C 1.50
C  0.6152  0.5100  0.4764  1 N 1.49, 2 C 1.50
N  0.3999  0.3999  0.3999  3 C 1.49
N  0.6001  0.6001  0.6001  3 C 1.49
O  0.0217  0.6977  0.5763  1 P 1.54
O  0.0297  0.2009  0.0540  1 P 1.54
O  0.0494  0.0773  0.6494  1 P 1.55
O  0.0540  0.0297  0.2009  1 P 1.54
O  0.0773  0.6494  0.0494  1 P 1.55
O  0.0811  0.3872  0.7897  1 P 1.54
O  0.0989  0.4623  0.1926  1 P 1.55
O  0.1400  0.7119  0.8592  1 P 1.54
O  0.1408  0.8600  0.2881  1 P 1.54
O  0.1672  0.6850  0.4326  1 P 1.54
O  0.1926  0.0989  0.4623  1 P 1.55
O  0.2009  0.0540  0.0297  1 P 1.54
O  0.2103  0.9189  0.6128  1 P 1.54
O  0.2655  0.3161  0.7180  1 P 1.55
O  0.2820  0.7345  0.6839  1 P 1.55
O  0.2881  0.1408  0.8600  1 P 1.54
O  0.3023  0.4237  0.9783  1 P 1.54
O  0.3150  0.5674  0.8328  1 P 1.54
O  0.3161  0.7180  0.2655  1 P 1.55
O  0.3506  0.9506  0.9227  1 P 1.55
O  0.3872  0.7897  0.0811  1 P 1.54
O  0.4237  0.9783  0.3023  1 P 1.54
O  0.4326  0.1672  0.6850  1 P 1.54
O  0.4623  0.1926  0.0989  1 P 1.55
O  0.5377  0.8074  0.9011  1 P 1.55
O  0.5674  0.8328  0.3150  1 P 1.54
O  0.5763  0.0217  0.6977  1 P 1.54
O  0.6128  0.2103  0.9189  1 P 1.54
O  0.6494  0.0494  0.0773  1 P 1.55
O  0.6839  0.2820  0.7345  1 P 1.55
O  0.6850  0.4326  0.1672  1 P 1.54
O  0.6977  0.5763  0.0217  1 P 1.54
O  0.7119  0.8592  0.1400  1 P 1.54
O  0.7180  0.2655  0.3161  1 P 1.55
O  0.7345  0.6839  0.2820  1 P 1.55
O  0.7897  0.0811  0.3872  1 P 1.54
O  0.7991  0.9460  0.9703  1 P 1.54
O  0.8074  0.9011  0.5377  1 P 1.55
O  0.8328  0.3150  0.5674  1 P 1.54
O  0.8592  0.1400  0.7119  1 P 1.54
O  0.8600  0.2881  0.1408  1 P 1.54
O  0.9011  0.5377  0.8074  1 P 1.55
O  0.9189  0.6128  0.2103  1 P 1.54
O  0.9227  0.3506  0.9506  1 P 1.55
O  0.9460  0.9703  0.7991  1 P 1.54
O  0.9506  0.9227  0.3506  1 P 1.55
O  0.9703  0.7991  0.9460  1 P 1.54
O  0.9783  0.3023  0.4237  1 P 1.54